No. 1
# meta-GGA r2SCAN SiIr3, optimized geometry
# - E_tot (eV for the cell shown) = -669.87
# - formation energy (meV per atom) = -404
data_SiIr3
_chemical_formula_sum 'Si4 Ir12'
_cell_length_a 5.254
_cell_length_b 5.254
_cell_length_c 7.991
_cell_angle_alpha 90.00
_cell_angle_beta 90.00
_cell_angle_gamma 90.00
_symmetry_space_group_name_H-M 'I 4/m c m'
_symmetry_Int_Tables_number 140
_symmetry_space_group_name_Hall '-I 4 2c'
loop_
_atom_site_label
_atom_site_type_symbol
_atom_site_fract_x
_atom_site_fract_y
_atom_site_fract_z
Si1 Si 0.000 0.500 0.250
Ir1 Ir 0.000 0.000 0.250
Ir2 Ir 0.184 0.316 0.000

No. 2
# meta-GGA r2SCAN GdBr3, optimized geometry
# - E_tot (eV for the cell shown) = -366.71
# - formation energy (meV per atom) = -2126
data_GdBr3
_chemical_formula_sum 'Gd4 Br12'
_cell_length_a 7.298
_cell_length_b 12.637
_cell_length_c 6.967
_cell_angle_alpha 90.00
_cell_angle_beta 109.71
_cell_angle_gamma 90.00
_symmetry_space_group_name_H-M 'C 1 2/m 1'
_symmetry_Int_Tables_number 12
_symmetry_space_group_name_Hall '-C 2y'
loop_
_atom_site_label
_atom_site_type_symbol
_atom_site_fract_x
_atom_site_fract_y
_atom_site_fract_z
Gd1 Gd 0.000 0.166 0.000
Br1 Br 0.217 0.000 0.246
Br2 Br 0.243 0.179 0.758

No. 3
# meta-GGA r2SCAN Ti13Sb3, optimized geometry
# - E_tot (eV for the cell shown) = -249.70
# - formation energy (meV per atom) = -274
data_Ti13Sb3
_chemical_formula_sum 'Ti13 Sb3'
_cell_length_a 4.753
_cell_length_b 5.696
_cell_length_c 10.456
_cell_angle_alpha 90.00
_cell_angle_beta 90.00
_cell_angle_gamma 90.00
_symmetry_space_group_name_H-M 'P m m 2'
_symmetry_Int_Tables_number 25
_symmetry_space_group_name_Hall 'P 2 -2'
loop_
_atom_site_label
_atom_site_type_symbol
_atom_site_fract_x
_atom_site_fract_y
_atom_site_fract_z
Ti1 Ti 0.000 0.000 0.000
Ti2 Ti 0.000 0.000 0.488
Ti3 Ti 0.000 0.237 0.742
Ti4 Ti 0.000 0.255 0.258
Ti5 Ti 0.000 0.500 0.502
Ti6 Ti 0.500 0.000 0.640
Ti7 Ti 0.500 0.239 0.895
Ti8 Ti 0.500 0.257 0.394
Ti9 Ti 0.500 0.500 0.142
Sb1 Sb 0.000 0.500 0.987
Sb2 Sb 0.500 0.000 0.152
Sb3 Sb 0.500 0.500 0.655

No. 4
# meta-GGA r2SCAN Zn2NiRh, optimized geometry
# - E_tot (eV for the cell shown) = -221.41
# - formation energy (meV per atom) = -354
data_Zn2NiRh
_chemical_formula_sum 'Zn8 Ni4 Rh4'
_cell_length_a 5.853
_cell_length_b 5.853
_cell_length_c 5.853
_cell_angle_alpha 90.00
_cell_angle_beta 90.00
_cell_angle_gamma 90.00
_symmetry_space_group_name_H-M 'F m -3 m'
_symmetry_Int_Tables_number 225
_symmetry_space_group_name_Hall '-F 4 2 3'
loop_
_atom_site_label
_atom_site_type_symbol
_atom_site_fract_x
_atom_site_fract_y
_atom_site_fract_z
Zn1 Zn 0.250 0.250 0.250
Ni1 Ni 0.000 0.000 0.000
Rh1 Rh 0.000 0.000 0.500